Here is Al23B50 after structural relaxation from the Materials Project database. Energies are from r²SCAN.

## Properties
* total moment: 0.00 μB per formula unit
* calculated density: 3.10 g/cm³
* DFT formation energy: -0.069 eV per atom
* V: 622.4 Å³/cell

Unit cell a=6.0821 b=10.1974 c=10.2256 alpha=95.83 beta=96.85 gamma=95.69
With the nearest neighbours (Å) after each atom.
Space group P-1 (No. 2)
Asymmetric unit:
Al 0.0000 0.0000 0.0000 (multiplicity 1)  12 B 2.36-2.39
Al 0.0398 0.5989 0.1191 (multiplicity 2)  12 B 2.34-2.37
Al 0.1209 0.8017 0.3620 (multiplicity 2)  12 B 2.33-2.37
Al 0.1565 0.3948 0.4727 (multiplicity 2)  12 B 2.30-2.43
Al 0.1957 0.9954 0.6033 (multiplicity 2)  12 B 2.31-2.41
Al 0.2313 0.6071 0.7212 (multiplicity 2)  12 B 2.29-2.43
Al 0.2820 0.1987 0.8415 (multiplicity 2)  12 B 2.33-2.38
Al 0.3072 0.8011 0.9531 (multiplicity 2)  12 B 2.30-2.45
Al 0.3571 0.3950 0.0838 (multiplicity 2)  12 B 2.30-2.42
Al 0.3898 0.0072 0.2007 (multiplicity 2)  12 B 2.29-2.44
Al 0.4417 0.5983 0.3202 (multiplicity 2)  12 B 2.34-2.38
Al 0.4681 0.1998 0.4334 (multiplicity 2)  12 B 2.30-2.43
B 0.0198 0.6332 0.8937 (multiplicity 2)  3 B 1.73
B 0.0196 0.9661 0.2269 (multiplicity 2)  3 B 1.72-1.73
B 0.0601 0.2334 0.0127 (multiplicity 2)  3 B 1.72-1.73
B 0.0604 0.5679 0.3462 (multiplicity 2)  3 B 1.72-1.73
B 0.0982 0.8312 0.1351 (multiplicity 2)  3 B 1.72-1.73
B 0.1003 0.1667 0.4672 (multiplicity 2)  3 B 1.72-1.73
B 0.1399 0.4336 0.2532 (multiplicity 2)  3 B 1.73
B 0.1401 0.7667 0.5864 (multiplicity 2)  3 B 1.72-1.73
B 0.1794 0.0332 0.3740 (multiplicity 2)  3 B 1.72-1.73
B 0.1800 0.3664 0.7072 (multiplicity 2)  3 B 1.72-1.73
B 0.2201 0.9672 0.8265 (multiplicity 2)  3 B 1.72-1.73
B 0.2213 0.6337 0.4922 (multiplicity 2)  3 B 1.72-1.73
B 0.2596 0.2324 0.6147 (multiplicity 2)  3 B 1.72-1.73
B 0.2605 0.5657 0.9478 (multiplicity 2)  3 B 1.72-1.73
B 0.2981 0.8332 0.7335 (multiplicity 2)  3 B 1.72-1.74
B 0.3004 0.1670 0.0660 (multiplicity 2)  3 B 1.72-1.73
B 0.3400 0.4335 0.8538 (multiplicity 2)  3 B 1.72-1.73
B 0.3397 0.7660 0.1872 (multiplicity 2)  3 B 1.72-1.73
B 0.3805 0.3670 0.3065 (multiplicity 2)  3 B 1.72-1.73
B 0.3832 0.0350 0.9720 (multiplicity 2)  3 B 1.72-1.73
B 0.4202 0.6328 0.0938 (multiplicity 2)  3 B 1.72-1.73
B 0.4198 0.9658 0.4275 (multiplicity 2)  3 B 1.72-1.73
B 0.4585 0.2332 0.2135 (multiplicity 2)  3 B 1.72-1.74
B 0.4585 0.5660 0.5464 (multiplicity 2)  3 B 1.72-1.73
B 0.4996 0.1664 0.6665 (multiplicity 2)  3 B 1.72-1.73